LuCl3: optimized geometry, GGA-PBE.

## Properties
**E (MP2020)**: -5.174 eV/atom
**VASP energy**: -4.71 eV/atom
**Energy of formation**: -2658 meV/atom
**Space-group type**: P6_3/mmc

abc: 9.9827 9.9827 3.4891
angles: 90.00 90.00 120.00
Positions (direct):
Lu1 0.3333 0.6667 0.2500
Lu2 0.6667 0.3333 0.7500
Cl1 0.2210 0.4421 0.7500
Cl2 0.2210 0.7790 0.7500
Cl3 0.4421 0.2210 0.2500
Cl4 0.5579 0.7790 0.7500
Cl5 0.7790 0.2210 0.2500
Cl6 0.7790 0.5579 0.2500


NdTh: optimized geometry, GGA-PBE.

## Properties
**VASP energy**: -6.05 eV/atom
**Energy of formation**: 44 meV/atom
**Space-group type**: R-3m

abc: 6.3186 6.3186 6.3186
angles: 33.00 33.00 33.00
Positions (direct):
Nd1 0.0000 0.0000 0.0000
Th1 0.5000 0.5000 0.5000